No. 1
Below is crystalline LiCoPO4 at its relaxed geometry, with properties calculated at the PBE with a Hubbard U level.

Lattice parameters (Å, degrees): 4.5483 5.1686 14.8596 94.92 93.81 74.86
With the nearest neighbours (Å) after each atom.
Fractional positions:
P1 0.7196 0.1929 0.3703  4 O 1.53-1.56
Li1 0.2589 0.7189 0.9952  3 O 1.95-1.97
Li2 0.2410 0.2811 0.5047  3 O 1.95-1.97
P2 0.2805 0.8071 0.6297  4 O 1.53-1.56
Co1 0.3660 0.7684 0.3001  4 O 1.95-2.04
Li3 0.7590 0.7190 0.4953  3 O 1.95-1.97
O1 0.0407 0.6163 0.1849  1 P 1.56
O2 0.4593 0.3834 0.3150  1 P 1.56
Co2 0.8660 0.7686 0.8001  4 O 1.95-2.04
O3 0.9593 0.3837 0.8151  1 P 1.56
O4 0.4005 0.0468 0.6035  1 P 1.56
Co3 0.6340 0.2316 0.6998  4 O 1.95-2.04
P3 0.2196 0.1930 0.8703  4 O 1.53-1.56
O5 0.9003 0.0468 0.1036  1 P 1.56
Co4 0.1340 0.2314 0.1999  4 O 1.95-2.04
P4 0.7803 0.8070 0.1297  4 O 1.53-1.56
O6 0.5407 0.6166 0.6850  1 P 1.56
O7 0.5996 0.9532 0.3964  1 P 1.56
O8 0.0062 0.9183 0.6925  1 P 1.56
O9 0.9938 0.0818 0.3075  1 P 1.56
O10 0.1830 0.6612 0.5436  1 P 1.53
O11 0.8170 0.3388 0.4564  1 P 1.53
O12 0.3173 0.3386 0.9564  1 P 1.53
Li4 0.7411 0.2811 0.0047  3 O 1.95-1.97
O13 0.4939 0.0819 0.8075  1 P 1.56
O14 0.5060 0.9181 0.1925  1 P 1.56
O15 0.0997 0.9531 0.8964  1 P 1.56
O16 0.6827 0.6614 0.0436  1 P 1.53

Output
energy above the lowest structure with this stoichiometry	56	meV per atom

No. 2
Below is crystalline LiVO2F2 at its relaxed geometry, with properties calculated at the PBE with a Hubbard U level.

Lattice parameters (Å, degrees): 7.4775 4.9159 7.5368 90.00 103.79 90.00
With the nearest neighbours (Å) after each atom.
Fractional positions:
Li1 0.1256 0.2449 0.3626  3 F 1.95-2.07
Li2 0.1256 0.2551 0.8626  3 F 1.95-2.07
Li3 0.8744 0.7449 0.1374  3 F 1.95-2.07
Li4 0.8744 0.7551 0.6374  3 F 1.95-2.07
V1 0.3389 0.7330 0.1629  2 O 1.65-1.76
V2 0.3389 0.7670 0.6629  2 O 1.65-1.76
V3 0.6611 0.2330 0.3371  2 O 1.65-1.76
V4 0.6611 0.2670 0.8371  2 O 1.65-1.76
O1 0.3158 0.6157 0.9528  1 V 1.65
O2 0.3158 0.8843 0.4528  1 V 1.65
O3 0.4625 0.0607 0.8002  2 V 1.76-1.89
O4 0.4625 0.4393 0.3002  2 V 1.76-1.89
O5 0.5375 0.5607 0.6998  2 V 1.76-1.89
O6 0.5375 0.9393 0.1998  2 V 1.76-1.89
O7 0.6842 0.1157 0.5472  1 V 1.65
O8 0.6842 0.3843 0.0472  1 V 1.65
F1 0.1134 0.5642 0.2021  2 Li 1.95-1.97, 1 V 1.96
F2 0.1134 0.9358 0.7021  2 Li 1.95-1.97, 1 V 1.96
F3 0.1831 0.0436 0.1072  1 V 1.91, 1 Li 2.07
F4 0.1831 0.4564 0.6072  1 V 1.91, 1 Li 2.07
F5 0.8169 0.5436 0.3928  1 V 1.91, 1 Li 2.07
F6 0.8169 0.9564 0.8928  1 V 1.91, 1 Li 2.07
F7 0.8866 0.0642 0.2979  2 Li 1.95-1.97, 1 V 1.96
F8 0.8866 0.4358 0.7979  2 Li 1.95-1.97, 1 V 1.96

Output
energy above the lowest structure with this stoichiometry	5	meV per atom
space group	P2_1/c, No. 14

No. 3
Below is crystalline MnCu3Se4O12 at its relaxed geometry, with properties calculated at the PBE with a Hubbard U level.

Lattice parameters (Å, degrees): 5.3483 6.0781 7.5543 90.47 91.03 91.27
With the nearest neighbours (Å) after each atom.
Fractional positions:
Mn1 0.0000 0.0000 0.0000  4 O 2.07-2.21
Cu1 0.0000 0.0000 0.5000  4 O 1.96-2.11
Cu2 0.5000 0.5000 0.0000  4 O 2.00-2.10
Cu3 0.5000 0.5000 0.5000  4 O 1.94-2.17
Se1 0.0015 0.4643 0.7469  3 O 1.73-1.80
Se2 0.4978 0.0408 0.2546  3 O 1.74-1.77
Se3 0.5022 0.9592 0.7454  3 O 1.74-1.77
Se4 0.9985 0.5357 0.2531  3 O 1.73-1.80
O1 0.1013 0.7053 0.4281  1 Se 1.74
O2 0.1087 0.6903 0.0784  1 Se 1.73
O3 0.1735 0.9245 0.7445  1 Se 1.77
O4 0.3332 0.4249 0.7524  1 Se 1.80
O5 0.3915 0.1970 0.0734  1 Se 1.77
O6 0.3975 0.2044 0.4286  1 Se 1.74, 1 Cu 1.94
O7 0.6025 0.7956 0.5714  1 Se 1.74, 1 Cu 1.94
O8 0.6085 0.8030 0.9266  1 Se 1.77
O9 0.6668 0.5751 0.2476  1 Se 1.80
O10 0.8265 0.0755 0.2555  1 Se 1.77
O11 0.8913 0.3097 0.9216  1 Se 1.73
O12 0.8987 0.2947 0.5719  1 Se 1.74

Output
space group	P-1, No. 2

Energy of formation across the listed records, respectively: -2.352 -2.712 -1.189 eV per atom.